{
  "formula": "GdIn2Ni9",
  "functional": "r2SCAN",
  "state": "relaxed",
  "crystal_system": "tetragonal",
  "space_group": "No. 127",
  "ef_ev_per_atom": -0.191,
  "magnetic_moment_mub_per_fu": 10.3,
  "energy_ev_per_cell": -397.37,
  "lattice_angstrom": [[-0.4066, 6.0801, 5.4336], [-8.1516, -0.4404, -0.1172], [0.1217, -3.2123, 3.6036]],
  "species": ["Gd", "Gd", "In", "In", "In", "In", "Ni", "Ni", "Ni", "Ni", "Ni", "Ni", "Ni", "Ni", "Ni", "Ni", "Ni", "Ni", "Ni", "Ni", "Ni", "Ni", "Ni", "Ni"],
  "fractional_positions": [[0.5000, 0.5000, 0.0000], [0.0000, 0.0000, 0.0000], [0.6244, 0.1244, 0.0000], [0.3756, 0.8756, 0.0000], [0.1244, 0.3756, 0.0000], [0.8756, 0.6244, 0.0000], [0.5000, 0.0000, 0.5000], [0.0000, 0.5000, 0.5000], [0.7071, 0.5647, 0.5000], [0.2929, 0.4353, 0.5000], [0.2071, 0.9353, 0.5000], [0.7929, 0.0647, 0.5000], [0.4353, 0.7071, 0.5000], [0.5647, 0.2929, 0.5000], [0.0647, 0.2071, 0.5000], [0.9353, 0.7929, 0.5000], [0.8235, 0.3235, 0.7474], [0.1765, 0.6765, 0.7474], [0.3235, 0.1765, 0.7474], [0.6765, 0.8235, 0.7474], [0.1765, 0.6765, 0.2526], [0.8235, 0.3235, 0.2526], [0.6765, 0.8235, 0.2526], [0.3235, 0.1765, 0.2526]]
}

{
  "formula": "GdInNi4",
  "functional": "r2SCAN",
  "state": "relaxed",
  "crystal_system": "cubic",
  "space_group": "No. 216",
  "ef_ev_per_atom": -0.331,
  "magnetic_moment_mub_per_fu": 6.9,
  "energy_ev_per_cell": -115.89,
  "lattice_angstrom": [[4.5171, -1.1535, -1.6838], [2.3401, -4.0123, 1.7307], [0.6210, -3.9582, -2.9182]],
  "species": ["Gd", "In", "Ni", "Ni", "Ni", "Ni"],
  "fractional_positions": [[0.2500, 0.2500, 0.2500], [0.0000, 0.0000, 0.0000], [0.6261, 0.6261, 0.6261], [0.6261, 0.6261, 0.1217], [0.6261, 0.1217, 0.6261], [0.1217, 0.6261, 0.6261]]
}